First-principles (GGA-PBE) data for a relaxed structure of NaB10Pb4Cl2O19, as listed in the Materials Project.

Cell lengths 6.7444, 11.5846, 13.3242 Å; angles 90.00, 120.20, 90.00 degrees
Space group Pc (No. 7)
Asymmetric unit:
Na  0.0000  0.2456  0.0000
B  0.1088  0.4459  0.7351
B  0.2113  0.0378  0.1670
B  0.4174  0.2282  0.2598
B  0.5090  0.4513  0.3116
B  0.6458  0.0518  0.2736
B  0.8159  0.0021  0.9945
B  0.8352  0.4950  0.0153
B  0.8824  0.4586  0.8409
B  0.8923  0.0486  0.6976
B  0.8999  0.2709  0.7448
Pb  0.3059  0.0296  0.4599
Pb  0.3922  0.4898  0.5433
Pb  0.4252  0.2212  0.7719
Pb  0.8994  0.2815  0.2313
Cl  0.2211  0.2647  0.5207
Cl  0.3511  0.2110  0.9748
O  0.0406  0.0376  0.0381
O  0.0528  0.3182  0.7164
O  0.0897  0.4884  0.8352
O  0.1368  0.0435  0.7266
O  0.2201  0.1593  0.2092
O  0.3396  0.4549  0.7519
O  0.3824  0.3412  0.2739
O  0.4297  0.0052  0.1753
O  0.6170  0.4619  0.4427
O  0.6250  0.1800  0.2882
O  0.6618  0.0080  0.8779
O  0.6942  0.4580  0.2828
O  0.7141  0.2829  0.0315
O  0.7395  0.0318  0.5680
O  0.8033  0.3392  0.7953
O  0.8317  0.1591  0.7280
O  0.8479  0.0425  0.2610
O  0.9219  0.4926  0.1330
O  0.9673  0.4548  0.9696

Computed properties:
calculated formation energy = -2430 meV/atom

First-principles (GGA-PBE) data for a relaxed structure of Na8MgZr3Si4P2O24, as listed in the Materials Project.

Cell lengths 9.2149, 9.2210, 22.9938 Å; angles 89.93, 89.97, 60.05 degrees
Space group P1 (No. 1)
Asymmetric unit:
Na  0.0000  0.0000  0.0000
Na  0.0001  0.3548  0.5013
Na  0.0355  0.2946  0.8312
Na  0.0373  0.6595  0.5848
Na  0.0414  0.0274  0.3332
Na  0.0413  0.6582  0.0803
Na  0.0643  0.9626  0.6650
Na  0.0698  0.3239  0.1642
Na  0.3393  0.6880  0.1621
Na  0.3402  0.3289  0.6650
Na  0.3693  0.9974  0.2506
Na  0.3707  0.9927  0.7488
Na  0.3758  0.3608  0.0006
Na  0.3781  0.6222  0.5019
Na  0.4022  0.2848  0.3322
Na  0.4040  0.6578  0.8311
Na  0.6684  0.6653  0.3331
Na  0.6719  0.0256  0.8306
Na  0.7034  0.9665  0.1638
Na  0.7040  0.3286  0.9171
Na  0.7057  0.3246  0.4172
Na  0.7064  0.6868  0.6650
Na  0.7328  0.0014  0.5014
Na  0.7354  0.6179  0.9984
Mg  0.3705  0.9970  0.3973
Mg  0.7024  0.3260  0.0634
Mg  0.7037  0.3260  0.5688
Zr  0.0318  0.6607  0.4321
Zr  0.0370  0.6581  0.2302
Zr  0.0368  0.6596  0.7298
Zr  0.0411  0.6562  0.9321
Zr  0.3624  0.9983  0.0986
Zr  0.3669  0.9912  0.8969
Zr  0.3700  0.9931  0.6021
Zr  0.7037  0.3263  0.7646
Zr  0.7089  0.3174  0.2649
Si  0.0356  0.9532  0.8316
Si  0.0396  0.3612  0.3319
Si  0.0703  0.2888  0.9982
Si  0.3317  0.3652  0.8312
Si  0.3742  0.6939  0.9989
Si  0.4134  0.6146  0.6623
Si  0.4137  0.3262  0.1627
Si  0.7054  0.0359  0.6624
Si  0.7386  0.9533  0.3318
Si  0.7437  0.6593  0.8317
Si  0.9921  0.3280  0.6623
Si  0.9940  0.0346  0.1622
P  0.0778  0.9957  0.4965
P  0.3296  0.6616  0.3321
P  0.3739  0.2830  0.4966
P  0.6590  0.7000  0.4965
P  0.6627  0.9947  0.9986
P  0.7038  0.6156  0.1637
O  0.0023  0.8674  0.8887
O  0.0042  0.4884  0.3880
O  0.0173  0.8461  0.1728
O  0.0176  0.4915  0.6711
O  0.0598  0.4726  0.9931
O  0.0630  0.8309  0.4916
O  0.0687  0.4540  0.2755
O  0.0725  0.8329  0.7750
O  0.1625  0.0201  0.4430
O  0.1659  0.1676  0.9421
O  0.1826  0.1586  0.6570
O  0.1844  0.0129  0.1597
O  0.1913  0.9612  0.5516
O  0.1980  0.2013  0.0547
O  0.1989  0.6867  0.9930
O  0.2038  0.1784  0.3382
O  0.2046  0.9699  0.8377
O  0.2105  0.4632  0.4912
O  0.2105  0.4502  0.7749
O  0.2168  0.6896  0.2779
O  0.2237  0.4919  0.1724
O  0.2245  0.6399  0.6711
O  0.2450  0.4857  0.8882
O  0.2465  0.6273  0.3858
O  0.3382  0.2043  0.5517
O  0.3380  0.8200  0.0552
O  0.3463  0.8177  0.3387
O  0.3497  0.1802  0.8384
O  0.3923  0.8050  0.6569
O  0.3957  0.1556  0.1596
O  0.3992  0.1735  0.4433
O  0.4022  0.7872  0.9422
O  0.4926  0.5011  0.6057
O  0.4942  0.3638  0.1073
O  0.5044  0.5012  0.3253
O  0.5160  0.3490  0.8259
O  0.5282  0.2951  0.2224
O  0.5284  0.3052  0.5033
O  0.5288  0.5376  0.7215
O  0.5361  0.0146  0.6570
O  0.5395  0.5121  0.0040
O  0.5469  0.7949  0.1590
O  0.5504  0.0215  0.9444
O  0.5501  0.7839  0.4430
O  0.5574  0.9684  0.3383
O  0.5592  0.8283  0.8380
O  0.5810  0.9602  0.0527
O  0.5815  0.8136  0.5515
O  0.6670  0.1512  0.7216
O  0.6721  0.5384  0.2197
O  0.6795  0.1506  0.0041
O  0.6829  0.5229  0.5032
O  0.7263  0.4917  0.8258
O  0.7270  0.1382  0.3259
O  0.7376  0.5058  0.1107
O  0.7399  0.1150  0.6057
O  0.8285  0.6944  0.7749
O  0.8327  0.8334  0.2753
O  0.8374  0.8327  0.9927
O  0.8397  0.6845  0.4916
O  0.8617  0.6370  0.1722
O  0.8631  0.6263  0.8888
O  0.8640  0.3552  0.3257
O  0.8668  0.8655  0.3879
O  0.8690  0.1382  0.8258
O  0.8690  0.8470  0.6711
O  0.8757  0.1171  0.1072
O  0.8785  0.3624  0.6057
O  0.8899  0.3032  0.0046
O  0.9011  0.1498  0.5031
O  0.9137  0.1514  0.2217
O  0.9153  0.2894  0.7216

Computed properties:
calculated formation energy = -3001 meV/atom

First-principles (GGA-PBE) data for a relaxed structure of BaHfInSbO6, as listed in the Materials Project.

Cell lengths 8.2741, 8.2741, 8.2741 Å; angles 90.00, 90.00, 90.00 degrees
Space group F-43m (No. 216)
Asymmetric unit:
Ba  0.0000  0.0000  0.0000
Hf  0.2500  0.2500  0.2500
In  0.0000  0.0000  0.5000
Sb  0.2500  0.2500  0.7500
O  0.0045  0.2500  0.7500

Computed properties:
calculated formation energy = -2644 meV/atom